## GaCo2Ni (PBE-GGA)

Data for a geometry-optimized GaCo2Ni structure.

a b c (Å): 3.5160 3.5160 3.7492
angles (deg): 90.00 90.00 90.00
Last column: nearest neighbours and their distance in Å.
Space group P4/mmm (No. 123)
Asymmetric unit:
Ga  0.0000  0.0000  0.0000 x1  4 Ni 2.49, 8 Co 2.57
Co  0.0000  0.5000  0.5000 x2  4 Co 2.49, 4 Ni 2.57, 4 Ga 2.57
Ni  0.5000  0.5000  0.0000 x1  4 Ga 2.49, 8 Co 2.57

Computed properties:
The formation energy comes out at -0.13 eV per atom. As for the calculated volume: 11.59 Å³ per atom. Its total energy is -5.88 eV/atom.